{"formula": "Fe2CoO4", "functional": "PBE with a Hubbard U", "state": "relaxed", "cell": [[-2.944, 2.957, 4.217], [2.944, -2.957, 4.217], [2.944, 2.957, -4.217]], "species": ["Fe", "Fe", "Fe", "Fe", "Co", "Co", "O", "O", "O", "O", "O", "O", "O", "O"], "frac_coords": [[0.000, 0.000, 0.000], [0.500, 0.000, 0.000], [0.500, 0.000, 0.500], [0.500, 0.500, 0.500], [0.127, 0.377, 0.750], [0.873, 0.623, 0.250], [0.264, 0.243, 0.479], [0.264, 0.785, 0.021], [0.275, 0.247, 0.028], [0.282, 0.753, 0.528], [0.718, 0.247, 0.472], [0.725, 0.753, 0.972], [0.736, 0.215, 0.979], [0.736, 0.757, 0.521]], "ef_ev_per_fu": -10.72, "sg": "No. 74", "m_tot_mub_per_fu": 13.000, "final_energy_ev_per_cell": -91.32, "de_polymorph_mev_per_atom": 45.2}